1.
A geometry-optimized SmBi3 structure. Source: the Materials Project database, functional PBE.

**V**: 31.1 Å³/atom
**Symmetry**: P6_3/mmc (194)
**E_tot**: -36.0 eV for the cell shown

```
8
Lattice="3.438 -5.954 0.000 3.438 5.954 0.000 0.000 0.000 6.075" Properties=species:S:1:pos:R:3 pbc="T T T"
Sm 3.438 -1.985 1.519
Sm 3.438 1.985 4.556
Bi 3.438 -3.899 4.556
Bi 1.780 -1.028 4.556
Bi 5.095 -1.028 4.556
Bi 3.438 3.899 1.519
Bi 5.095 1.028 1.519
Bi 1.780 1.028 1.519
```



2.
A geometry-optimized SmBi structure. Source: the Materials Project database, functional PBE.

**V**: 30.4 Å³/atom
**Symmetry**: P4/mmm (123)
**E_tot**: -10.1 eV for the cell shown
**ΔE to the lowest computed polymorph**: 197 meV/atom

```
2
Lattice="4.196 0.000 0.000 0.000 4.196 0.000 0.000 0.000 3.458" Properties=species:S:1:pos:R:3 pbc="T T T"
Sm 0.000 0.000 0.000
Bi 2.098 2.098 1.729
```



3.
A geometry-optimized Sm2Bi structure. Source: the Materials Project database, functional PBE.

**V**: 31.3 Å³/atom
**Symmetry**: I4/mmm (139)
**E_tot**: -30.5 eV for the cell shown

```
6
Lattice="-2.289 2.289 8.967 2.289 -2.289 8.967 2.289 2.289 -8.967" Properties=species:S:1:pos:R:3 pbc="T T T"
Sm 0.000 0.000 5.754
Sm 0.000 0.000 12.181
Sm 0.000 2.289 0.000
Sm 2.289 0.000 0.000
Bi 0.000 0.000 2.487
Bi 0.000 0.000 15.448
```



4.
A geometry-optimized Sm5Bi3 structure. Source: the Materials Project database, functional PBE.

**V**: 31.8 Å³/atom
**Symmetry**: Pnma (62)
**E_tot**: -164.3 eV for the cell shown
**ΔE to the lowest computed polymorph**: 25 meV/atom

```
32
Lattice="3.730 -5.385 -5.315 -3.311 5.177 -7.569 10.280 6.900 0.223" Properties=species:S:1:pos:R:3 pbc="T T T"
Sm 3.938 4.147 -10.715
Sm 10.776 4.994 -8.304
Sm 5.490 4.533 -4.852
Sm 1.195 -0.290 -1.450
Sm 6.761 2.545 -1.945
Sm -0.076 1.698 -4.356
Sm 5.209 2.159 -7.809
Sm 9.504 6.982 -11.211
Sm 2.695 7.179 -5.687
Sm 9.531 8.181 -7.991
Sm 8.004 -0.487 -6.974
Sm 1.168 -1.489 -4.669
Sm 1.558 3.942 -7.404
Sm 6.054 8.322 -6.374
Sm 9.141 2.750 -5.257
Sm 4.645 -1.630 -6.286
Sm 2.821 0.793 -10.109
Sm 7.268 5.244 -9.011
Sm 7.879 5.899 -2.551
Sm 3.432 1.448 -3.650
Bi 0.622 3.297 -10.497
Bi 8.740 2.253 -8.639
Bi 8.463 5.919 -5.854
Bi 3.573 1.915 -0.331
Bi 10.077 3.395 -2.164
Bi 1.959 4.439 -4.022
Bi 2.236 0.773 -6.807
Bi 7.126 4.777 -12.329
Bi -1.879 3.543 -6.173
Bi 4.421 5.318 -7.715
Bi 12.578 3.149 -6.487
Bi 6.278 1.374 -4.946
```



5.
A geometry-optimized SmBi3 structure. Source: the Materials Project database, functional PBE.

**V**: 30.9 Å³/atom
**Symmetry**: I4/mmm (139)
**E_tot**: -18.0 eV for the cell shown

```
4
Lattice="-2.356 2.356 5.565 2.356 -2.356 5.565 2.356 2.356 -5.565" Properties=species:S:1:pos:R:3 pbc="T T T"
Sm 0.000 0.000 0.000
Bi 0.000 2.356 2.782
Bi 2.356 0.000 2.782
Bi 0.000 0.000 5.565
```



6.
A geometry-optimized Sm5Bi3 structure. Source: the Materials Project database, functional PBE.

**V**: 31.0 Å³/atom
**Symmetry**: Cmcm (63)
**E_tot**: -82.6 eV for the cell shown
**ΔE to the lowest computed polymorph**: 0 meV/atom

```
16
Lattice="0.000 0.000 -6.493 -4.701 -8.142 0.000 -4.693 8.137 0.000" Properties=species:S:1:pos:R:3 pbc="T T T"
Sm -4.695 2.711 -3.247
Sm -4.698 -2.716 -3.247
Sm -4.698 -2.716 0.000
Sm -4.695 2.711 0.000
Sm -1.158 -2.006 -4.870
Sm -7.079 -0.004 -4.870
Sm -1.157 2.004 -4.870
Sm -3.542 -6.136 -1.623
Sm -2.314 0.000 -1.623
Sm -8.237 -2.009 -1.623
Bi -2.878 -4.985 -4.870
Bi -3.643 -0.002 -4.870
Bi -2.873 4.982 -4.870
Bi -1.823 -3.157 -1.623
Bi -5.751 -0.003 -1.623
Bi -6.521 -4.987 -1.623
```



7.
A geometry-optimized SmBi structure. Source: the Materials Project database, functional PBE.

**V**: 33.5 Å³/atom
**Symmetry**: Fm-3m (225)
**E_tot**: -10.4 eV for the cell shown
**ΔE to the lowest computed polymorph**: 0 meV/atom

```
2
Lattice="2.912 -2.581 -2.375 -0.589 -4.517 -0.188 -1.343 -1.963 -3.889" Properties=species:S:1:pos:R:3 pbc="T T T"
Sm 0.490 -4.531 -3.226
Bi 0.000 0.000 0.000
```



8.
A geometry-optimized SmBi2Te4 structure. Source: the Materials Project database, functional PBE.

**V**: 32.6 Å³/atom
**E (MP2020)**: -60.6 eV for the cell shown
**Symmetry**: I-42d (122)
**E_tot**: -57.2 eV for the cell shown

```
14
Lattice="-4.928 4.928 4.699 4.928 -4.928 4.699 4.928 4.928 -4.699" Properties=species:S:1:pos:R:3 pbc="T T T"
Sm 0.000 0.000 0.000
Sm 4.928 0.000 2.349
Bi 6.470 2.464 -1.175
Bi 2.464 3.386 1.175
Bi -1.542 2.464 3.524
Bi 2.464 1.542 5.873
Te -0.618 1.844 6.528
Te 1.844 4.310 4.179
Te 3.084 0.618 -0.519
Te 1.844 0.618 2.869
Te 3.084 4.310 -1.830
Te 4.310 -1.844 5.218
Te 5.546 3.084 1.830
Te 0.618 6.772 0.519
```



9.
A geometry-optimized Sn3Bi structure. Source: the Materials Project database, functional PBE.

**V**: 29.3 Å³/atom
**Symmetry**: Pm-3m (221)
**E_tot**: -15.5 eV for the cell shown

```
4
Lattice="4.893 0.000 0.000 0.000 4.893 0.000 0.000 0.000 4.893" Properties=species:S:1:pos:R:3 pbc="T T T"
Sn 0.000 2.446 2.446
Sn 2.446 0.000 2.446
Sn 2.446 2.446 0.000
Bi 0.000 0.000 0.000
```



10.
A geometry-optimized Sn3Bi structure. Source: the Materials Project database, functional PBE.

**V**: 28.5 Å³/atom
**Symmetry**: Fm-3m (225)
**E_tot**: -15.6 eV for the cell shown

```
4
Lattice="-2.814 -4.457 -1.357 0.325 -4.470 3.089 -4.266 -1.546 3.007" Properties=species:S:1:pos:R:3 pbc="T T T"
Sn 0.000 0.000 0.000
Sn -1.689 -2.618 1.185
Sn -5.067 -7.855 3.554
Bi -3.378 -5.237 2.369
```



11.
A geometry-optimized Sn3Bi structure. Source: the Materials Project database, functional PBE.

**V**: 29.2 Å³/atom
**Symmetry**: I4/mmm (139)
**E_tot**: -15.5 eV for the cell shown

```
4
Lattice="-2.351 2.351 5.283 2.351 -2.351 5.283 2.351 2.351 -5.283" Properties=species:S:1:pos:R:3 pbc="T T T"
Sn 0.000 0.000 5.283
Sn 2.351 0.000 2.642
Sn 0.000 2.351 2.642
Bi 0.000 0.000 0.000
```



12.
A geometry-optimized SnBi3Te4 structure. Source: the Materials Project database, functional PBE.

**V**: 34.8 Å³/atom
**E (MP2020)**: -92.8 eV for the cell shown
**Symmetry**: Cm (8)
**E_tot**: -87.7 eV for the cell shown

```
24
Lattice="2.221 24.966 0.000 -2.221 24.966 0.000 0.000 1.124 7.542" Properties=species:S:1:pos:R:3 pbc="T T T"
Sn 0.000 46.885 0.455
Sn 0.000 22.468 4.223
Sn 0.000 28.458 3.300
Bi 0.000 4.064 7.091
Bi 0.000 37.562 7.051
Bi 0.000 12.058 3.280
Bi 0.000 13.357 0.486
Bi 0.000 38.903 4.265
Bi 0.000 43.569 6.103
Bi 0.000 18.047 2.342
Bi 0.000 7.402 1.420
Bi 0.000 32.858 5.214
Te 0.000 5.807 4.227
Te 0.000 30.202 0.462
Te 0.000 45.124 3.316
Te 0.000 20.718 7.088
Te 0.000 23.701 1.461
Te 0.000 49.207 5.248
Te 0.000 27.170 6.060
Te 0.000 1.669 2.323
Te 0.000 16.609 5.153
Te 0.000 41.012 1.379
Te 0.000 9.908 6.169
Te 0.000 34.305 2.386
```



What did the fifth record say?
A geometry-optimized SmBi3 structure. Source: the Materials Project database, functional PBE.

**V**: 30.9 Å³/atom
**Symmetry**: I4/mmm (139)
**E_tot**: -18.0 eV for the cell shown

```
4
Lattice="-2.356 2.356 5.565 2.356 -2.356 5.565 2.356 2.356 -5.565" Properties=species:S:1:pos:R:3 pbc="T T T"
Sm 0.000 0.000 0.000
Bi 0.000 2.356 2.782
Bi 2.356 0.000 2.782
Bi 0.000 0.000 5.565
```



Please write out number 12 again, unchanged.
A geometry-optimized SnBi3Te4 structure. Source: the Materials Project database, functional PBE.

**V**: 34.8 Å³/atom
**E (MP2020)**: -92.8 eV for the cell shown
**Symmetry**: Cm (8)
**E_tot**: -87.7 eV for the cell shown

```
24
Lattice="2.221 24.966 0.000 -2.221 24.966 0.000 0.000 1.124 7.542" Properties=species:S:1:pos:R:3 pbc="T T T"
Sn 0.000 46.885 0.455
Sn 0.000 22.468 4.223
Sn 0.000 28.458 3.300
Bi 0.000 4.064 7.091
Bi 0.000 37.562 7.051
Bi 0.000 12.058 3.280
Bi 0.000 13.357 0.486
Bi 0.000 38.903 4.265
Bi 0.000 43.569 6.103
Bi 0.000 18.047 2.342
Bi 0.000 7.402 1.420
Bi 0.000 32.858 5.214
Te 0.000 5.807 4.227
Te 0.000 30.202 0.462
Te 0.000 45.124 3.316
Te 0.000 20.718 7.088
Te 0.000 23.701 1.461
Te 0.000 49.207 5.248
Te 0.000 27.170 6.060
Te 0.000 1.669 2.323
Te 0.000 16.609 5.153
Te 0.000 41.012 1.379
Te 0.000 9.908 6.169
Te 0.000 34.305 2.386
```